LiTm6B3O14, relaxed, DFT PBE; calculated density = 7.58 Mg/m³; calculated formation energy = -87.293 eV/f.u.
1.0
8.2977 0.0000 0.0000
0.0000 15.3890 0.0000
-8.0277 0.0000 8.7601
Li Tm B O
4 24 12 56
Direct
0.1199 0.1043 0.4385
0.1199 0.3957 0.9385
0.8801 0.6043 0.0615
0.8801 0.8957 0.5615
0.0173 0.6734 0.5567
0.0173 0.8266 0.0567
0.1507 0.6442 0.9251
0.1507 0.8558 0.4251
0.2403 0.5035 0.4393
0.2403 0.9965 0.9393
0.3336 0.0132 0.2824
0.3336 0.4868 0.7824
0.4145 0.6663 0.3359
0.4145 0.8337 0.8359
0.4505 0.1781 0.8074
0.4505 0.3219 0.3074
0.5495 0.6781 0.6926
0.5495 0.8219 0.1926
0.5855 0.1663 0.1641
0.5855 0.3337 0.6641
0.6664 0.5132 0.2176
0.6664 0.9868 0.7176
0.7597 0.0035 0.0607
0.7597 0.4965 0.5607
0.8493 0.1442 0.5749
0.8493 0.3558 0.0749
0.9827 0.1734 0.9433
0.9827 0.3266 0.4433
0.0423 0.1926 0.2218
0.0423 0.3074 0.7218
0.2107 0.0003 0.6462
0.2107 0.4997 0.1462
0.4568 0.1727 0.5276
0.4568 0.3273 0.0276
0.5432 0.6727 0.9724
0.5432 0.8273 0.4724
0.7893 0.9997 0.3538
0.7893 0.5003 0.8538
0.9577 0.6926 0.2782
0.9577 0.8074 0.7782
0.0519 0.1051 0.2002
0.0519 0.3949 0.7002
0.0526 0.7252 0.2260
0.0526 0.7748 0.7260
0.0646 0.5796 0.7217
0.0646 0.9204 0.2217
0.1182 0.2486 0.6768
0.1182 0.2514 0.1768
0.1467 0.0863 0.6192
0.1467 0.4137 0.1192
0.1828 0.5523 0.2253
0.1828 0.9477 0.7253
0.2759 0.7318 0.1227
0.2759 0.7682 0.6227
0.2867 0.5852 0.6246
0.2867 0.9148 0.1246
0.2978 0.0982 0.1051
0.2978 0.4018 0.6051
0.3034 0.5338 0.0918
0.3034 0.9662 0.5918
0.3612 0.2053 0.5792
0.3612 0.2947 0.0792
0.4463 0.7331 0.9975
0.4463 0.7669 0.4975
0.4722 0.0896 0.9631
0.4722 0.4104 0.4631
0.4747 0.0865 0.5085
0.4747 0.4135 0.0085
0.5253 0.5865 0.9915
0.5253 0.9135 0.4915
0.5278 0.5896 0.5369
0.5278 0.9104 0.0369
0.5537 0.2331 0.5025
0.5537 0.2669 0.0025
0.6388 0.7053 0.9208
0.6388 0.7947 0.4208
0.6966 0.0338 0.4082
0.6966 0.4662 0.9082
0.7022 0.5982 0.3949
0.7022 0.9018 0.8949
0.7133 0.0852 0.8754
0.7133 0.4148 0.3754
0.7241 0.2318 0.3773
0.7241 0.2682 0.8773
0.8172 0.0523 0.2747
0.8172 0.4477 0.7747
0.8533 0.5863 0.8808
0.8533 0.9137 0.3808
0.8818 0.7486 0.8232
0.8818 0.7514 0.3232
0.9354 0.0796 0.7783
0.9354 0.4204 0.2783
0.9474 0.2252 0.2740
0.9474 0.2748 0.7740
0.9481 0.6051 0.2998
0.9481 0.8949 0.7998

LiY6B3O14, relaxed, DFT PBE; calculated density = 4.51 Mg/m³; calculated formation energy = -85.844 eV/f.u.
1.0
8.4306 0.0000 0.0000
0.0000 15.6313 0.0000
-8.1425 0.0000 8.9038
Li Y B O
4 24 12 56
Direct
0.1164 0.1058 0.4362
0.1164 0.3942 0.9362
0.8836 0.6058 0.0638
0.8836 0.8942 0.5638
0.0149 0.6736 0.5561
0.0149 0.8264 0.0561
0.1470 0.6442 0.9242
0.1470 0.8558 0.4242
0.2393 0.5038 0.4388
0.2393 0.9962 0.9388
0.3353 0.0134 0.2837
0.3353 0.4866 0.7837
0.4125 0.6663 0.3349
0.4125 0.8337 0.8349
0.4512 0.1783 0.8073
0.4512 0.3217 0.3073
0.5488 0.6783 0.6927
0.5488 0.8217 0.1927
0.5875 0.1663 0.1651
0.5875 0.3337 0.6651
0.6647 0.5134 0.2163
0.6647 0.9866 0.7163
0.7607 0.0038 0.0612
0.7607 0.4962 0.5612
0.8530 0.1442 0.5758
0.8530 0.3558 0.0758
0.9851 0.1736 0.9439
0.9851 0.3264 0.4439
0.0441 0.1919 0.2222
0.0441 0.3081 0.7222
0.2111 0.0001 0.6456
0.2111 0.4999 0.1456
0.4569 0.1726 0.5283
0.4569 0.3274 0.0283
0.5431 0.6726 0.9717
0.5431 0.8274 0.4717
0.7889 0.9999 0.3544
0.7889 0.5001 0.8544
0.9559 0.6919 0.2778
0.9559 0.8081 0.7778
0.0472 0.7232 0.2243
0.0472 0.7768 0.7243
0.0513 0.1058 0.1995
0.0513 0.3942 0.6995
0.0652 0.5798 0.7230
0.0652 0.9202 0.2230
0.1190 0.2502 0.1780
0.1190 0.2498 0.6780
0.1509 0.0853 0.6187
0.1509 0.4147 0.1187
0.1812 0.5510 0.2230
0.1812 0.9490 0.7230
0.2735 0.7322 0.1219
0.2735 0.7678 0.6219
0.2861 0.5850 0.6249
0.2861 0.9150 0.1249
0.2979 0.0982 0.1048
0.2979 0.4018 0.6048
0.3028 0.5350 0.0932
0.3028 0.9650 0.5932
0.3631 0.2057 0.5789
0.3631 0.2943 0.0789
0.4439 0.7308 0.9954
0.4439 0.7692 0.4954
0.4681 0.0870 0.5078
0.4681 0.4130 0.0078
0.4735 0.0901 0.9637
0.4735 0.4099 0.4637
0.5265 0.5901 0.5363
0.5265 0.9099 0.0363
0.5319 0.5870 0.9922
0.5319 0.9130 0.4922
0.5561 0.2308 0.5046
0.5561 0.2692 0.0046
0.6369 0.7057 0.9211
0.6369 0.7943 0.4211
0.6972 0.0350 0.4068
0.6972 0.4650 0.9068
0.7021 0.5982 0.3952
0.7021 0.9018 0.8952
0.7139 0.0850 0.8751
0.7139 0.4150 0.3751
0.7265 0.2322 0.3781
0.7265 0.2678 0.8781
0.8188 0.0510 0.2770
0.8188 0.4490 0.7770
0.8491 0.5853 0.8813
0.8491 0.9147 0.3813
0.8810 0.7502 0.3220
0.8810 0.7498 0.8220
0.9348 0.0798 0.7770
0.9348 0.4202 0.2770
0.9487 0.6058 0.3005
0.9487 0.8942 0.8005
0.9528 0.2232 0.2757
0.9528 0.2768 0.7757

LiZnBO3, relaxed, DFT PBE; calculated density = 3.45 Mg/m³; calculated formation energy = -14.392 eV/f.u.; offset from the most stable computed form = 1.49 kJ per mole of atoms
1.0
5.0820 0.0000 0.0000
-0.0149 8.8593 0.0000
-0.0812 -0.0026 11.2217
Li Zn B O
8 8 8 24
Direct
0.0000 0.0000 0.0000
0.0122 0.9953 0.5451
0.3248 0.9909 0.3198
0.3393 0.0119 0.8138
0.4883 0.5070 0.9806
0.7677 0.4890 0.3731
0.8161 0.5038 0.1817
0.8291 0.5066 0.8003
0.0082 0.3232 0.0001
0.0304 0.6522 0.5558
0.3154 0.6639 0.2977
0.3258 0.3424 0.7494
0.5037 0.8351 0.0422
0.5189 0.1666 0.5380
0.8143 0.8367 0.7595
0.8244 0.1599 0.2685
0.0039 0.6679 0.0147
0.0094 0.3241 0.5326
0.3219 0.3330 0.2729
0.3277 0.6701 0.7812
0.5076 0.1663 0.0188
0.5085 0.8286 0.5216
0.8160 0.8238 0.2705
0.8313 0.1682 0.7774
0.0478 0.3423 0.2570
0.0611 0.6620 0.7445
0.2691 0.3233 0.5726
0.2692 0.6628 0.0364
0.3689 0.0340 0.9963
0.3763 0.9650 0.5106
0.3775 0.6975 0.4856
0.3869 0.3045 0.0044
0.4447 0.1956 0.2966
0.4458 0.8082 0.7947
0.4628 0.5368 0.8012
0.4746 0.4645 0.2682
0.5457 0.8328 0.2403
0.5672 0.1667 0.7463
0.7695 0.8255 0.5643
0.7746 0.1592 0.0516
0.8609 0.5307 0.0115
0.8711 0.8022 0.9955
0.8747 0.4579 0.5259
0.8870 0.1886 0.5016
0.9278 0.6802 0.2851
0.9574 0.3039 0.8097
0.9611 0.9541 0.2845
0.9744 0.0356 0.7784

LiZnBO3, relaxed, DFT PBE; calculated density = 3.41 Mg/m³; calculated formation energy = -14.260 eV/f.u.; offset from the most stable computed form = 3.60 kJ per mole of atoms; largest piezoelectric modulus = 0.35 C/m²
1.0
5.0633 0.0000 0.0000
2.5307 4.3877 0.0000
0.1150 -0.0611 11.5025
Li Zn B O
4 4 4 12
Direct
0.0000 0.0000 0.0000
0.0058 0.0208 0.8154
0.6839 0.2923 0.2185
0.6987 0.3010 0.5967
0.0509 0.6365 0.6232
0.3506 0.3291 0.9069
0.3534 0.9827 0.1927
0.6754 0.6709 0.4095
0.0268 0.6323 0.1619
0.3471 0.3215 0.4066
0.3702 0.9846 0.6530
0.6830 0.6629 0.9071
0.0122 0.9151 0.1578
0.0840 0.5731 0.4489
0.0885 0.9967 0.6576
0.3018 0.3706 0.1334
0.3385 0.0652 0.3672
0.3860 0.2445 0.6815
0.3918 0.9209 0.9153
0.6207 0.3195 0.4053
0.6286 0.7131 0.6218
0.7161 0.3717 0.9078
0.7669 0.6185 0.1909
0.9417 0.6962 0.8980

LiZnBO3, relaxed, DFT PBE; calculated density = 3.51 Mg/m³; calculated formation energy = -14.484 eV/f.u.; offset from the most stable computed form = 0.00 kJ per mole of atoms
1.0
4.4730 -2.5596 0.0000
4.4730 2.5596 0.0000
-2.9753 0.0000 5.4180
Li Zn B O
2 2 2 6
Direct
0.0818 0.9182 0.5000
0.9182 0.0818 0.0000
0.2569 0.4243 0.0184
0.4243 0.2569 0.5184
0.5614 0.7385 0.9374
0.7385 0.5614 0.4374
0.0004 0.2835 0.4196
0.2835 0.0004 0.9196
0.4521 0.5476 0.3975
0.5476 0.4521 0.8975
0.7457 0.8380 0.4744
0.8380 0.7457 0.9744

Li2BPd3, relaxed, DFT PBE; calculated density = 7.16 Mg/m³; calculated formation energy = -2.765 eV/f.u.
1.0
6.8342 0.0000 0.0000
0.0000 6.8342 0.0000
0.0000 0.0000 6.8342
Li B Pd
8 4 12
Direct
0.0557 0.4443 0.5557
0.1943 0.6943 0.8057
0.3057 0.3057 0.3057
0.4443 0.5557 0.0557
0.5557 0.0557 0.4443
0.6943 0.8057 0.1943
0.8057 0.1943 0.6943
0.9443 0.9443 0.9443
0.1250 0.8750 0.3750
0.3750 0.1250 0.8750
0.6250 0.6250 0.6250
0.8750 0.3750 0.1250
0.0549 0.6250 0.1951
0.1250 0.3049 0.9451
0.1951 0.0549 0.6250
0.3049 0.9451 0.1250
0.3750 0.6951 0.4451
0.4451 0.3750 0.6951
0.5549 0.8750 0.8049
0.6250 0.1951 0.0549
0.6951 0.4451 0.3750
0.8049 0.5549 0.8750
0.8750 0.8049 0.5549
0.9451 0.1250 0.3049